This record from the Materials Project describes Zr4Al3 after structural relaxation. The functional is PBE.

Unit cell a=5.4558 b=5.4558 c=5.4171 alpha=90.00 beta=90.00 gamma=120.00
Positions (direct):
Zr 0.0000 0.0000 0.2425
Zr 0.0000 0.0000 0.7575
Zr 0.3333 0.6667 0.0000
Zr 0.6667 0.3333 0.0000
Al 0.0000 0.5000 0.5000
Al 0.5000 0.0000 0.5000
Al 0.5000 0.5000 0.5000

## Properties
**Crystal system**: hexagonal
**E_tot**: -48.6 eV per cell
**Formation energy from the elements**: -0.460 eV per atom
**SG**: No. 191


This record from the Materials Project describes Zr3Al after structural relaxation. The functional is PBE.

Unit cell a=6.2118 b=6.2118 c=5.0768 alpha=90.00 beta=90.00 gamma=120.00
Positions (direct):
Zr 0.1715 0.3430 0.2500
Zr 0.1715 0.8285 0.2500
Zr 0.3430 0.1715 0.7500
Zr 0.6570 0.8285 0.2500
Zr 0.8285 0.1715 0.7500
Zr 0.8285 0.6570 0.7500
Al 0.3333 0.6667 0.7500
Al 0.6667 0.3333 0.2500

## Properties
**Crystal system**: hexagonal
**E_tot**: -61.1 eV per cell
**Formation energy from the elements**: -0.286 eV per atom
**SG**: No. 194


This record from the Materials Project describes Zr5Al4 after structural relaxation. The functional is PBE.

Unit cell a=8.4697 b=8.4697 c=5.8000 alpha=90.00 beta=90.00 gamma=120.00
Positions (direct):
Zr 0.0000 0.2896 0.2500
Zr 0.0000 0.7104 0.7500
Zr 0.2896 0.0000 0.2500
Zr 0.2896 0.2896 0.7500
Zr 0.3333 0.6667 0.0000
Zr 0.3333 0.6667 0.5000
Zr 0.6667 0.3333 0.0000
Zr 0.6667 0.3333 0.5000
Zr 0.7104 0.0000 0.7500
Zr 0.7104 0.7104 0.2500
Al 0.0000 0.0000 0.0000
Al 0.0000 0.0000 0.5000
Al 0.0000 0.3705 0.7500
Al 0.0000 0.6295 0.2500
Al 0.3705 0.0000 0.7500
Al 0.3705 0.3705 0.2500
Al 0.6295 0.0000 0.2500
Al 0.6295 0.6295 0.7500

## Properties
**Crystal system**: hexagonal
**E_tot**: -123.0 eV per cell
**Formation energy from the elements**: -0.418 eV per atom
**SG**: No. 193


This record from the Materials Project describes Zr3Al after structural relaxation. The functional is PBE.

Unit cell a=4.3869 b=4.3869 c=4.3869 alpha=90.00 beta=90.00 gamma=90.00
Positions (direct):
Zr 0.0000 0.0000 0.5000
Zr 0.0000 0.5000 0.0000
Zr 0.5000 0.0000 0.0000
Al 0.5000 0.5000 0.5000

## Properties
**Crystal system**: cubic
**E_tot**: -30.6 eV per cell
**Formation energy from the elements**: -0.302 eV per atom
**SG**: No. 221


This record from the Materials Project describes ZrAl3 after structural relaxation. The functional is PBE.

Unit cell a=9.1216 b=9.1216 c=9.1216 alpha=154.55 beta=154.55 gamma=36.30
Positions (direct):
Zr 0.1187 0.1187 0.0000
Zr 0.8813 0.8813 0.0000
Al 0.0000 0.5000 0.5000
Al 0.2500 0.7500 0.5000
Al 0.3748 0.3748 0.0000
Al 0.5000 0.0000 0.5000
Al 0.6252 0.6252 0.0000
Al 0.7500 0.2500 0.5000

## Properties
**Crystal system**: tetragonal
**E_tot**: -43.5 eV per cell
**Formation energy from the elements**: -0.487 eV per atom
**SG**: No. 139


This record from the Materials Project describes ZrAl3 after structural relaxation. The functional is PBE.

Unit cell a=4.1068 b=4.1068 c=4.1068 alpha=90.00 beta=90.00 gamma=90.00
Positions (direct):
Zr 0.0000 0.0000 0.0000
Al 0.0000 0.5000 0.5000
Al 0.5000 0.0000 0.5000
Al 0.5000 0.5000 0.0000

## Properties
**Crystal system**: cubic
**E_tot**: -21.6 eV per cell
**Formation energy from the elements**: -0.464 eV per atom
**SG**: No. 221


This record from the Materials Project describes ZrAl3 after structural relaxation. The functional is PBE.

Unit cell a=5.3119 b=5.3119 c=5.3119 alpha=136.17 beta=136.17 gamma=63.72
Positions (direct):
Zr 0.0000 0.0000 0.0000
Al 0.2500 0.7500 0.5000
Al 0.5000 0.5000 0.0000
Al 0.7500 0.2500 0.5000

## Properties
**Crystal system**: tetragonal
**E_tot**: -21.6 eV per cell
**Formation energy from the elements**: -0.462 eV per atom
**SG**: No. 139


This record from the Materials Project describes Zr2Al3 after structural relaxation. The functional is PBE.

Unit cell a=7.5202 b=5.5703 c=8.4818 alpha=60.58 beta=40.18 gamma=79.24
Positions (direct):
Zr 0.1299 0.8701 0.2646
Zr 0.5146 0.9854 0.3799
Zr 0.8701 0.1299 0.7354
Zr 0.9854 0.5146 0.1201
Al 0.1354 0.1354 0.8646
Al 0.3854 0.3854 0.1146
Al 0.4620 0.5550 0.3084
Al 0.5550 0.4620 0.6746
Al 0.5754 0.9416 0.6950
Al 0.9416 0.5754 0.7880

## Properties
**Crystal system**: orthorhombic
**E_tot**: -61.9 eV per cell
**Formation energy from the elements**: -0.521 eV per atom
**SG**: No. 43


This record from the Materials Project describes Bi8AsAuCl9 after structural relaxation. The functional is PBE.

Unit cell a=10.5204 b=15.1371 c=14.4963 alpha=90.00 beta=93.53 gamma=90.00
Positions (direct):
Bi 0.0420 0.1378 0.1933
Bi 0.0420 0.3622 0.6933
Bi 0.0584 0.6399 0.6881
Bi 0.0584 0.8601 0.1881
Bi 0.2214 0.0525 0.5258
Bi 0.2214 0.4475 0.0258
Bi 0.3006 0.6489 0.9748
Bi 0.3006 0.8511 0.4748
Bi 0.3281 0.0116 0.0510
Bi 0.3281 0.4884 0.5510
Bi 0.3810 0.5701 0.1768
Bi 0.3810 0.9299 0.6768
Bi 0.4150 0.1871 0.4321
Bi 0.4150 0.3129 0.9321
Bi 0.4525 0.1386 0.6499
Bi 0.4525 0.3614 0.1499
Bi 0.5475 0.6386 0.8501
Bi 0.5475 0.8614 0.3501
Bi 0.5850 0.6871 0.0679
Bi 0.5850 0.8129 0.5679
Bi 0.6190 0.0701 0.3232
Bi 0.6190 0.4299 0.8232
Bi 0.6719 0.5116 0.4490
Bi 0.6719 0.9884 0.9490
Bi 0.6994 0.1489 0.5252
Bi 0.6994 0.3511 0.0252
Bi 0.7786 0.5525 0.9742
Bi 0.7786 0.9475 0.4742
Bi 0.9416 0.1399 0.8119
Bi 0.9416 0.3601 0.3119
Bi 0.9580 0.6378 0.3067
Bi 0.9580 0.8622 0.8067
As 0.2182 0.0039 0.2192
As 0.2182 0.4961 0.7192
As 0.7818 0.5039 0.2808
As 0.7818 0.9961 0.7808
Au 0.3670 0.0067 0.3675
Au 0.3670 0.4933 0.8675
Au 0.6330 0.5067 0.1325
Au 0.6330 0.9933 0.6325
Cl 0.0051 0.6275 0.1281
Cl 0.0051 0.8725 0.6281
Cl 0.0230 0.6365 0.8722
Cl 0.0230 0.8635 0.3722
Cl 0.1331 0.0052 0.8248
Cl 0.1331 0.4948 0.3248
Cl 0.1696 0.1582 0.0203
Cl 0.1696 0.3418 0.5203
Cl 0.1715 0.6439 0.5162
Cl 0.1715 0.8561 0.0162
Cl 0.2250 0.2494 0.7603
Cl 0.2250 0.2506 0.2603
Cl 0.2555 0.7423 0.7514
Cl 0.2555 0.7577 0.2514
Cl 0.4926 0.1041 0.8755
Cl 0.4926 0.3959 0.3755
Cl 0.4950 0.1294 0.1247
Cl 0.4950 0.3706 0.6247
Cl 0.5050 0.6294 0.3753
Cl 0.5050 0.8706 0.8753
Cl 0.5074 0.6041 0.6245
Cl 0.5074 0.8959 0.1245
Cl 0.7445 0.2423 0.7486
Cl 0.7445 0.2577 0.2486
Cl 0.7750 0.7494 0.7397
Cl 0.7750 0.7506 0.2397
Cl 0.8285 0.1439 0.9838
Cl 0.8285 0.3561 0.4838
Cl 0.8304 0.6582 0.4797
Cl 0.8304 0.8418 0.9797
Cl 0.8669 0.5052 0.6752
Cl 0.8669 0.9948 0.1752
Cl 0.9770 0.1365 0.6278
Cl 0.9770 0.3635 0.1278
Cl 0.9949 0.1275 0.3719
Cl 0.9949 0.3725 0.8719

## Properties
**Crystal system**: monoclinic
**E_tot**: -269.6 eV per cell
**Formation energy from the elements**: -0.907 eV per atom
**SG**: No. 14


This record from the Materials Project describes Cs2AsAuBr6 after structural relaxation. The functional is PBE.

Unit cell a=7.8254 b=7.8254 c=7.8254 alpha=60.00 beta=60.00 gamma=60.00
Positions (direct):
Cs 0.2500 0.2500 0.2500
Cs 0.7500 0.7500 0.7500
As 0.0000 0.0000 0.0000
Au 0.5000 0.5000 0.5000
Br 0.2444 0.2444 0.7556
Br 0.2444 0.7556 0.2444
Br 0.2444 0.7556 0.7556
Br 0.7556 0.2444 0.2444
Br 0.7556 0.2444 0.7556
Br 0.7556 0.7556 0.2444

## Properties
**Crystal system**: cubic
**E_tot**: -28.7 eV per cell
**Formation energy from the elements**: -1.239 eV per atom
**SG**: No. 225


This record from the Materials Project describes CaAsAu after structural relaxation. The functional is PBE.

Unit cell a=4.4592 b=4.4592 c=8.0333 alpha=90.00 beta=90.00 gamma=120.00
Positions (direct):
Ca 0.0000 0.0000 0.0000
Ca 0.0000 0.0000 0.5000
As 0.3333 0.6667 0.2500
As 0.6667 0.3333 0.7500
Au 0.3333 0.6667 0.7500
Au 0.6667 0.3333 0.2500

## Properties
**Crystal system**: hexagonal
**E_tot**: -25.1 eV per cell
**Formation energy from the elements**: -0.870 eV per atom
**SG**: No. 194


This record from the Materials Project describes CeAs2Au after structural relaxation. The functional is PBE.

Unit cell a=4.1398 b=4.1398 c=9.9817 alpha=90.00 beta=90.00 gamma=90.00
Positions (direct):
Ce 0.2500 0.2500 0.2269
Ce 0.7500 0.7500 0.7731
As 0.2500 0.2500 0.6929
As 0.2500 0.7500 0.0000
As 0.7500 0.2500 0.0000
As 0.7500 0.7500 0.3071
Au 0.2500 0.7500 0.5000
Au 0.7500 0.2500 0.5000

## Properties
**Crystal system**: tetragonal
**E_tot**: -43.4 eV per cell
**Formation energy from the elements**: -0.789 eV per atom
**SG**: No. 129